a | Entry from the Materials Project: a geometry-optimized Li9Mn2Co5O16 structure (GGA+U).

Geometry as CIF:
```
data_Li9Mn2Co5O16
_cell_length_a 5.062
_cell_length_b 5.124
_cell_length_c 11.475
_cell_angle_alpha 80.08
_cell_angle_beta 84.51
_cell_angle_gamma 80.18
_symmetry_space_group_name_H-M 'P 1'
_symmetry_Int_Tables_number 1
_symmetry_space_group_name_Hall 'P 1'
loop_
_atom_site_label
_atom_site_type_symbol
_atom_site_fract_x
_atom_site_fract_y
_atom_site_fract_z
Li1 Li 0.000 0.000 0.000
Li2 Li 0.001 0.495 0.479
Li3 Li 0.009 0.251 0.741
Li4 Li 0.018 0.750 0.242
Li5 Li 0.258 0.186 0.303
Li6 Li 0.502 0.627 0.361
Li7 Li 0.504 0.378 0.612
Li8 Li 0.506 0.124 0.869
Li9 Li 0.515 0.877 0.128
Mn1 Mn 0.256 0.685 0.803
Mn2 Mn 0.758 0.057 0.425
Co1 Co 0.256 0.430 0.063
Co2 Co 0.256 0.944 0.546
Co3 Co 0.753 0.319 0.184
Co4 Co 0.753 0.809 0.676
Co5 Co 0.763 0.565 0.931
O1 O 0.110 0.850 0.407
O2 O 0.124 0.373 0.895
O3 O 0.126 0.121 0.142
O4 O 0.135 0.613 0.657
O5 O 0.373 0.002 0.713
O6 O 0.392 0.753 0.947
O7 O 0.393 0.250 0.467
O8 O 0.402 0.526 0.203
O9 O 0.613 0.493 0.766
O10 O 0.632 0.738 0.522
O11 O 0.638 0.253 0.018
O12 O 0.651 0.978 0.284
O13 O 0.867 0.375 0.341
O14 O 0.868 0.130 0.581
O15 O 0.891 0.650 0.085
O16 O 0.894 0.876 0.834
```

**Calculated volume**: 288.2 Å³ per cell

=====

b | Entry from the Materials Project: a geometry-optimized Li9Mn2Co5O16 structure (GGA+U).

Geometry as CIF:
```
data_Li9Mn2Co5O16
_cell_length_a 5.002
_cell_length_b 5.864
_cell_length_c 9.810
_cell_angle_alpha 90.00
_cell_angle_beta 100.73
_cell_angle_gamma 90.00
_symmetry_space_group_name_H-M 'P 1 2/m 1'
_symmetry_Int_Tables_number 10
_symmetry_space_group_name_Hall '-P 2y'
loop_
_atom_site_label
_atom_site_type_symbol
_atom_site_fract_x
_atom_site_fract_y
_atom_site_fract_z
Li1 Li 0.000 0.000 0.000
Li2 Li 0.238 0.247 0.248
Li3 Li 0.240 0.000 0.753
Li4 Li 0.241 0.500 0.753
Mn1 Mn 0.500 0.247 0.000
Co1 Co 0.000 0.249 0.500
Co2 Co 0.000 0.500 0.000
Co3 Co 0.500 0.000 0.500
Co4 Co 0.500 0.500 0.500
O1 O 0.132 0.000 0.382
O2 O 0.137 0.500 0.384
O3 O 0.141 0.265 0.889
O4 O 0.363 0.253 0.616
O5 O 0.369 0.500 0.107
O6 O 0.400 0.000 0.112
```

**Calculated volume**: 282.7 Å³ per cell

=====

Q: Which of them is the most stable? A: b.

=====

a | Entry from the Materials Project: a geometry-optimized MgFe3Ni2SbP6O24 structure (GGA+U).

Geometry as CIF:
```
data_MgFe3Ni2SbP6O24
_cell_length_a 8.484
_cell_length_b 8.604
_cell_length_c 8.617
_cell_angle_alpha 61.30
_cell_angle_beta 61.92
_cell_angle_gamma 61.91
_symmetry_space_group_name_H-M 'P 1'
_symmetry_Int_Tables_number 1
_symmetry_space_group_name_Hall 'P 1'
loop_
_atom_site_label
_atom_site_type_symbol
_atom_site_fract_x
_atom_site_fract_y
_atom_site_fract_z
Mg1 Mg 0.000 0.000 0.000
Fe1 Fe 0.127 0.476 0.703
Fe2 Fe 0.618 0.971 0.221
Fe3 Fe 0.918 0.261 0.494
Ni1 Ni 0.277 0.601 0.845
Ni2 Ni 0.761 0.124 0.369
Sb1 Sb 0.423 0.760 0.002
P1 P 0.020 0.662 0.311
P2 P 0.212 0.167 0.104
P3 P 0.318 0.075 0.598
P4 P 0.525 0.566 0.408
P5 P 0.729 0.379 0.891
P6 P 0.840 0.871 0.807
O1 O 0.019 0.177 0.254
O2 O 0.026 0.705 0.788
O3 O 0.096 0.617 0.459
O4 O 0.173 0.079 0.541
O5 O 0.177 0.702 0.097
O6 O 0.207 0.356 0.940
O7 O 0.232 0.007 0.036
O8 O 0.238 0.222 0.690
O9 O 0.343 0.870 0.768
O10 O 0.364 0.548 0.600
O11 O 0.381 0.104 0.158
O12 O 0.438 0.621 0.253
O13 O 0.513 0.073 0.452
O14 O 0.518 0.526 0.936
O15 O 0.598 0.714 0.368
O16 O 0.661 0.802 0.905
O17 O 0.671 0.372 0.411
O18 O 0.746 0.321 0.743
O19 O 0.749 0.210 0.076
O20 O 0.824 0.016 0.617
O21 O 0.836 0.942 0.942
O22 O 0.868 0.474 0.836
O23 O 0.878 0.867 0.282
O24 O 0.966 0.513 0.325
```

**Calculated volume**: 461.8 Å³ per cell

=====

b | Entry from the Materials Project: a geometry-optimized MgFe3Ni2SbP6O24 structure (GGA+U).

Geometry as CIF:
```
data_MgFe3Ni2SbP6O24
_cell_length_a 8.7639
_cell_length_b 8.7639
_cell_length_c 21.1959
_cell_angle_alpha 90.00
_cell_angle_beta 90.00
_cell_angle_gamma 120.00
_symmetry_space_group_name_H-M 'R 3'
_symmetry_Int_Tables_number 146
_symmetry_space_group_name_Hall 'R 3'
loop_
_atom_site_label
_atom_site_type_symbol
_atom_site_fract_x
_atom_site_fract_y
_atom_site_fract_z
Mg1 Mg 0.0000 0.0000 0.0000
Fe1 Fe 0.0000 0.0000 0.1215
Fe2 Fe 0.0000 0.0000 0.2390
Fe3 Fe 0.0000 0.0000 0.5190
Ni1 Ni 0.0000 0.0000 0.3758
Ni2 Ni 0.0000 0.0000 0.8697
Sb1 Sb 0.0000 0.0000 0.7218
P1 P 0.0006 0.6985 0.6189
P2 P 0.0053 0.3047 0.1210
O1 O 0.0030 0.1949 0.0636
O2 O 0.0056 0.1966 0.1794
O3 O 0.0082 0.8303 0.2980
O4 O 0.0130 0.1810 0.7955
O5 O 0.0218 0.7933 0.6832
O6 O 0.1586 0.6957 0.2319
O7 O 0.1637 0.6808 0.6047
O8 O 0.1665 0.4920 0.1152
```

**Calculated volume**: 1409.9 Å³ per cell

=====

Q: Which of them is the most stable? A: a.